No. 1
Entry from Materials Project: a geometry-optimized Nd4Au2O9 structure (PBE).

Unit cell a=6.2121 b=12.0623 c=12.0758 alpha=90.00 beta=90.00 gamma=90.00
With the nearest neighbours (Å) after each atom.
Fractional coordinates of all 60 atoms:
Nd  0.8037  0.3403  0.7358  7 O 2.37-2.63
O  0.8744  0.3030  0.3415  1 Au 2.01
Au  0.9200  0.7711  0.0109  4 O 2.01-2.07
Au  0.5800  0.7289  0.5109  4 O 2.01-2.07
Nd  0.7421  0.0114  0.9106  7 O 2.37-2.56
O  0.4389  0.8851  0.9461  1 Au 2.04
O  0.9389  0.6149  0.9461  1 Au 2.04
Nd  0.2579  0.0114  0.4106  7 O 2.37-2.56
Au  0.0800  0.7711  0.5109  4 O 2.01-2.07
O  0.4761  0.0000  0.2500  4 Nd 2.37
O  0.0239  0.5000  0.7500  4 Nd 2.37
O  0.4389  0.1149  0.5539  1 Au 2.04
Nd  0.3037  0.1597  0.7358  7 O 2.37-2.63
O  0.9409  0.8362  0.8523  1 Au 2.07
O  0.9761  0.5000  0.2500  4 Nd 2.37
O  0.8744  0.6970  0.1585  1 Au 2.01
O  0.5591  0.6638  0.3523  1 Au 2.07
Nd  0.7579  0.5114  0.0894  7 O 2.37-2.56
Nd  0.7579  0.4886  0.4106  7 O 2.37-2.56
Au  0.4200  0.7289  0.0109  4 O 2.01-2.07
Nd  0.2421  0.5114  0.5894  7 O 2.37-2.56
O  0.6112  0.5775  0.5882  1 Au 2.06
O  0.5239  0.0000  0.7500  4 Nd 2.37
O  0.0611  0.6149  0.4461  1 Au 2.04
O  0.0611  0.3851  0.0539  1 Au 2.04
O  0.5611  0.1149  0.0539  1 Au 2.04
O  0.6256  0.1970  0.8415  1 Au 2.01
Nd  0.1963  0.6597  0.2642  7 O 2.37-2.63
O  0.9389  0.3851  0.5539  1 Au 2.04
Au  0.0800  0.2289  0.9891  4 O 2.01-2.07
O  0.6256  0.8030  0.6585  1 Au 2.01
Au  0.4200  0.2711  0.4891  4 O 2.01-2.07
O  0.3888  0.4225  0.4118  1 Au 2.06
O  0.0591  0.1638  0.1477  1 Au 2.07
O  0.1112  0.9225  0.5882  1 Au 2.06
O  0.4409  0.3362  0.6477  1 Au 2.07
Nd  0.2421  0.4886  0.9106  7 O 2.37-2.56
O  0.1256  0.3030  0.8415  1 Au 2.01
Au  0.9200  0.2289  0.4891  4 O 2.01-2.07
Nd  0.3037  0.8403  0.7642  7 O 2.37-2.63
Au  0.5800  0.2711  0.9891  4 O 2.01-2.07
O  0.3888  0.5775  0.0882  1 Au 2.06
O  0.8888  0.0775  0.4118  1 Au 2.06
O  0.4409  0.6638  0.8523  1 Au 2.07
O  0.3744  0.1970  0.3415  1 Au 2.01
O  0.9409  0.1638  0.6477  1 Au 2.07
Nd  0.2579  0.9886  0.0894  7 O 2.37-2.56
O  0.5611  0.8851  0.4461  1 Au 2.04
O  0.5591  0.3362  0.1477  1 Au 2.07
O  0.8888  0.9225  0.0882  1 Au 2.06
Nd  0.1963  0.3403  0.2358  7 O 2.37-2.63
O  0.1112  0.0775  0.9118  1 Au 2.06
O  0.3744  0.8030  0.1585  1 Au 2.01
Nd  0.8037  0.6597  0.7642  7 O 2.37-2.63
Nd  0.7421  0.9886  0.5894  7 O 2.37-2.56
O  0.6112  0.4225  0.9118  1 Au 2.06
O  0.0591  0.8362  0.3523  1 Au 2.07
O  0.1256  0.6970  0.6585  1 Au 2.01
Nd  0.6963  0.1597  0.2358  7 O 2.37-2.63
Nd  0.6963  0.8403  0.2642  7 O 2.37-2.63

Results
final energy	-7.034	eV/atom
total energy after the MP2020 corrections	-446.8	eV for the cell shown
energy of formation from the pure elements	-2770	meV per atom

=====

No. 2
Entry from Materials Project: a geometry-optimized Pr4Rh structure (PBE).

Unit cell a=7.9543 b=7.9543 c=7.9543 alpha=60.00 beta=60.00 gamma=60.00
With the nearest neighbours (Å) after each atom.
Fractional coordinates of all 10 atoms:
Rh  0.7500  0.7500  0.7500  4 Pr 2.69
Pr  0.6120  0.6120  0.6120  1 Rh 2.69
Pr  0.1380  0.1380  0.1380  1 Rh 2.69
Pr  0.1380  0.1380  0.5859  1 Rh 2.69
Pr  0.1641  0.6120  0.6120  1 Rh 2.69
Pr  0.6120  0.1641  0.6120  1 Rh 2.69
Pr  0.5859  0.1380  0.1380  1 Rh 2.69
Pr  0.1380  0.5859  0.1380  1 Rh 2.69
Rh  0.0000  0.0000  0.0000  4 Pr 2.69
Pr  0.6120  0.6120  0.1641  1 Rh 2.69

Results
total moment	0.0	μB/f.u.
final energy	-5.206	eV/atom
energy of formation from the pure elements	92	meV per atom

=====

No. 3
Entry from Materials Project: a geometry-optimized Mg14CrMo structure (PBE).

Unit cell a=6.2673 b=6.2673 c=9.9450 alpha=90.00 beta=90.00 gamma=120.00
With the nearest neighbours (Å) after each atom.
Fractional coordinates of all 16 atoms:
Mg  0.3270  0.1730  0.3786  1 Mo 3.01, 10 Mg 3.02-3.25, 1 Cr 3.06
Mg  0.3270  0.6541  0.8714  1 Mo 3.01, 10 Mg 3.02-3.25, 1 Cr 3.06
Mg  0.8459  0.1730  0.8714  1 Mo 3.01, 10 Mg 3.02-3.25, 1 Cr 3.06
Mg  0.8459  0.1730  0.3786  1 Mo 3.01, 10 Mg 3.02-3.25, 1 Cr 3.06
Mg  0.3270  0.1730  0.8714  1 Mo 3.01, 10 Mg 3.02-3.25, 1 Cr 3.06
Mg  0.3270  0.6541  0.3786  1 Mo 3.01, 10 Mg 3.02-3.25, 1 Cr 3.06
Mg  0.1688  0.8344  0.6250  10 Mg 3.06-3.15, 2 Mo 3.13
Mg  0.6661  0.8339  0.1250  10 Mg 3.08-3.14, 2 Cr 3.13
Mg  0.8333  0.6667  0.3754  12 Mg 3.08-3.13
Cr  0.1667  0.3333  0.1250  12 Mg 3.06-3.13
Mg  0.8333  0.6667  0.8746  12 Mg 3.08-3.13
Mg  0.6656  0.8344  0.6250  10 Mg 3.06-3.15, 2 Mo 3.13
Mg  0.6656  0.3312  0.6250  10 Mg 3.06-3.15, 2 Mo 3.13
Mg  0.6661  0.3322  0.1250  10 Mg 3.08-3.14, 2 Cr 3.13
Mo  0.1667  0.3333  0.6250  12 Mg 3.01-3.13
Mg  0.1678  0.8339  0.1250  10 Mg 3.08-3.14, 2 Cr 3.13

Results
ΔE to the lowest computed polymorph	15	meV per atom
final energy	-2.503	eV/atom
energy of formation from the pure elements	178	meV per atom

=====

No. 4
Entry from Materials Project: a geometry-optimized Al2PdRu structure (PBE).

Unit cell a=4.2791 b=4.2791 c=4.2791 alpha=60.00 beta=60.00 gamma=60.00
With the nearest neighbours (Å) after each atom.
Fractional coordinates of all 4 atoms:
Pd  0.5000  0.5000  0.5000  8 Al 2.62
Al  0.7500  0.7500  0.7500  4 Ru 2.62, 4 Pd 2.62
Ru  0.0000  0.0000  0.0000  8 Al 2.62
Al  0.2500  0.2500  0.2500  4 Ru 2.62, 4 Pd 2.62

Results
final energy	-6.296	eV/atom
energy of formation from the pure elements	-809	meV per atom

=====

No. 5
Entry from Materials Project: a geometry-optimized TmTiO3 structure (PBE).

Unit cell a=5.2865 b=5.6738 c=7.6502 alpha=90.00 beta=90.00 gamma=90.00
With the nearest neighbours (Å) after each atom.
Fractional coordinates of all 20 atoms:
O  0.8125  0.3042  0.4363  2 Ti 2.05, 1 Tm 2.26
Ti  0.0000  0.0000  0.0000  6 O 2.05-2.06
O  0.6875  0.8042  0.0637  2 Ti 2.05, 1 Tm 2.26
O  0.6313  0.5527  0.7500  2 Ti 2.06, 2 Tm 2.20-2.27
O  0.1313  0.9473  0.2500  2 Ti 2.06, 2 Tm 2.20-2.27
O  0.1875  0.6958  0.9363  2 Ti 2.05, 1 Tm 2.26
Ti  0.5000  0.5000  0.5000  6 O 2.05-2.06
Tm  0.4761  0.9259  0.7500  4 O 2.20-2.27
O  0.6875  0.8042  0.4363  2 Ti 2.05, 1 Tm 2.26
O  0.3125  0.1958  0.5637  2 Ti 2.05, 1 Tm 2.26
Ti  0.0000  0.0000  0.5000  6 O 2.05-2.06
O  0.3125  0.1958  0.9363  2 Ti 2.05, 1 Tm 2.26
O  0.1875  0.6958  0.5637  2 Ti 2.05, 1 Tm 2.26
O  0.8125  0.3042  0.0637  2 Ti 2.05, 1 Tm 2.26
O  0.8687  0.0527  0.7500  2 Ti 2.06, 2 Tm 2.20-2.27
Ti  0.5000  0.5000  0.0000  6 O 2.05-2.06
Tm  0.5239  0.0741  0.2500  4 O 2.20-2.27
Tm  0.0239  0.4259  0.7500  4 O 2.20-2.27
Tm  0.9761  0.5741  0.2500  4 O 2.20-2.27
O  0.3687  0.4473  0.2500  2 Ti 2.06, 2 Tm 2.20-2.27

Results
total moment	1.0	μB/f.u.
final energy	-8.684	eV/atom
total energy after the MP2020 corrections	-181.9	eV for the cell shown
energy of formation from the pure elements	-3653	meV per atom

=====

Copy entry 5 word for word.
Entry from Materials Project: a geometry-optimized TmTiO3 structure (PBE).

Unit cell a=5.2865 b=5.6738 c=7.6502 alpha=90.00 beta=90.00 gamma=90.00
With the nearest neighbours (Å) after each atom.
Fractional coordinates of all 20 atoms:
O  0.8125  0.3042  0.4363  2 Ti 2.05, 1 Tm 2.26
Ti  0.0000  0.0000  0.0000  6 O 2.05-2.06
O  0.6875  0.8042  0.0637  2 Ti 2.05, 1 Tm 2.26
O  0.6313  0.5527  0.7500  2 Ti 2.06, 2 Tm 2.20-2.27
O  0.1313  0.9473  0.2500  2 Ti 2.06, 2 Tm 2.20-2.27
O  0.1875  0.6958  0.9363  2 Ti 2.05, 1 Tm 2.26
Ti  0.5000  0.5000  0.5000  6 O 2.05-2.06
Tm  0.4761  0.9259  0.7500  4 O 2.20-2.27
O  0.6875  0.8042  0.4363  2 Ti 2.05, 1 Tm 2.26
O  0.3125  0.1958  0.5637  2 Ti 2.05, 1 Tm 2.26
Ti  0.0000  0.0000  0.5000  6 O 2.05-2.06
O  0.3125  0.1958  0.9363  2 Ti 2.05, 1 Tm 2.26
O  0.1875  0.6958  0.5637  2 Ti 2.05, 1 Tm 2.26
O  0.8125  0.3042  0.0637  2 Ti 2.05, 1 Tm 2.26
O  0.8687  0.0527  0.7500  2 Ti 2.06, 2 Tm 2.20-2.27
Ti  0.5000  0.5000  0.0000  6 O 2.05-2.06
Tm  0.5239  0.0741  0.2500  4 O 2.20-2.27
Tm  0.0239  0.4259  0.7500  4 O 2.20-2.27
Tm  0.9761  0.5741  0.2500  4 O 2.20-2.27
O  0.3687  0.4473  0.2500  2 Ti 2.06, 2 Tm 2.20-2.27

Results
total moment	1.0	μB/f.u.
final energy	-8.684	eV/atom
total energy after the MP2020 corrections	-181.9	eV for the cell shown
energy of formation from the pure elements	-3653	meV per atom

=====

Which of these has the lowest energy of formation from the pure elements? TmTiO3